A.
The following is a r²SCAN calculation of a geometry-optimized CaCr2O4 structure, from Materials Project.

Unit cell a=2.9903 b=9.0642 c=10.6301 alpha=90.00 beta=90.00 gamma=90.00
Sites, in units of the cell vectors:
Ca  0.7500  0.2403  0.3408
Ca  0.2500  0.7597  0.6592
Ca  0.7500  0.7403  0.1592
Ca  0.2500  0.2597  0.8408
Cr  0.7500  0.0599  0.1128
Cr  0.2500  0.9401  0.8872
Cr  0.7500  0.5838  0.8990
Cr  0.2500  0.4162  0.1010
Cr  0.7500  0.5599  0.3872
Cr  0.2500  0.4401  0.6128
Cr  0.7500  0.0838  0.6010
Cr  0.2500  0.9162  0.3990
O  0.7500  0.7983  0.8388
O  0.2500  0.2017  0.1612
O  0.7500  0.2984  0.6612
O  0.2500  0.7016  0.3388
O  0.7500  0.8831  0.5241
O  0.2500  0.1169  0.4759
O  0.7500  0.3831  0.9759
O  0.2500  0.6169  0.0241
O  0.7500  0.4716  0.2143
O  0.2500  0.5284  0.7857
O  0.7500  0.9716  0.2857
O  0.2500  0.0284  0.7143
O  0.7500  0.5811  0.5734
O  0.2500  0.4189  0.4266
O  0.7500  0.0811  0.9266
O  0.2500  0.9189  0.0734

Symmetry: Pnma


B.
The following is a r²SCAN calculation of a geometry-optimized CaCr2O4 structure, from Materials Project.

Unit cell a=5.1056 b=5.8822 c=10.9916 alpha=90.00 beta=90.00 gamma=90.00
Sites, in units of the cell vectors:
Ca  0.8549  0.2500  0.7500
Ca  0.1451  0.7500  0.2500
Ca  0.5348  0.2500  0.2500
Ca  0.4652  0.7500  0.7500
Cr  0.5053  0.7500  0.4908
Cr  0.5053  0.7500  0.0092
Cr  0.4947  0.2500  0.5092
Cr  0.4947  0.2500  0.9908
Cr  0.0000  0.5000  0.5000
Cr  0.0000  0.0000  0.0000
Cr  0.0000  0.0000  0.5000
Cr  0.0000  0.5000  0.0000
O  0.8409  0.7500  0.4034
O  0.8409  0.7500  0.0966
O  0.1591  0.2500  0.5966
O  0.1591  0.2500  0.9034
O  0.1782  0.7500  0.5889
O  0.1782  0.7500  0.9111
O  0.8218  0.2500  0.4111
O  0.8218  0.2500  0.0889
O  0.6652  0.5035  0.5997
O  0.6652  0.9965  0.9003
O  0.3348  0.0035  0.4003
O  0.3348  0.4965  0.0997
O  0.3348  0.4965  0.4003
O  0.3348  0.0035  0.0997
O  0.6652  0.9965  0.5997
O  0.6652  0.5035  0.9003

Symmetry: Pmmn


The most stable of them is A.


A.
The following is a r²SCAN calculation of a geometry-optimized CaFe2O4 structure, from Materials Project.

Unit cell a=3.0257 b=9.2435 c=10.7226 alpha=90.00 beta=90.00 gamma=90.00
Sites, in units of the cell vectors:
Ca  0.7500  0.2434  0.3437
Ca  0.2500  0.7566  0.6563
Ca  0.7500  0.7434  0.1563
Ca  0.2500  0.2566  0.8437
Fe  0.2500  0.4198  0.1043
Fe  0.7500  0.0802  0.6043
Fe  0.2500  0.9198  0.3957
Fe  0.7500  0.5802  0.8957
Fe  0.7500  0.5678  0.3898
Fe  0.2500  0.4322  0.6102
Fe  0.7500  0.0678  0.1102
Fe  0.2500  0.9322  0.8898
O  0.2500  0.9177  0.0733
O  0.7500  0.0823  0.9267
O  0.2500  0.4177  0.4267
O  0.7500  0.5823  0.5733
O  0.2500  0.0255  0.7168
O  0.7500  0.9745  0.2832
O  0.2500  0.5255  0.7832
O  0.7500  0.4745  0.2168
O  0.2500  0.6199  0.0245
O  0.7500  0.3801  0.9755
O  0.2500  0.1199  0.4755
O  0.7500  0.8801  0.5245
O  0.7500  0.7948  0.8358
O  0.2500  0.2052  0.1642
O  0.2500  0.7052  0.3358
O  0.7500  0.2948  0.6642

Symmetry: Pnma


B.
The following is a r²SCAN calculation of a geometry-optimized CaFe2O4 structure, from Materials Project.

Unit cell a=6.2279 b=6.2279 c=6.2279 alpha=60.00 beta=60.00 gamma=60.00
Sites, in units of the cell vectors:
Ca  0.2500  0.2500  0.2500
Ca  0.0000  0.0000  0.0000
Fe  0.6250  0.6250  0.1250
Fe  0.6250  0.1250  0.6250
Fe  0.6250  0.6250  0.6250
Fe  0.1250  0.6250  0.6250
O  0.8572  0.4283  0.8572
O  0.8572  0.8572  0.8572
O  0.4283  0.8572  0.8572
O  0.3928  0.3928  0.8217
O  0.8217  0.3928  0.3928
O  0.3928  0.3928  0.3928
O  0.8572  0.8572  0.4283
O  0.3928  0.8217  0.3928

Symmetry: Fd-3m


C.
The following is a r²SCAN calculation of a geometry-optimized CaFe2O4 structure, from Materials Project.

Unit cell a=5.1402 b=5.9598 c=11.0842 alpha=90.00 beta=90.00 gamma=90.00
Sites, in units of the cell vectors:
Ca  0.8563  0.2477  0.7500
Ca  0.1437  0.7477  0.2500
Ca  0.5302  0.2485  0.2500
Ca  0.4698  0.7485  0.7500
Fe  0.4971  0.2556  0.5177
Fe  0.4971  0.2556  0.9823
Fe  0.9992  0.5020  0.4995
Fe  0.9992  0.5020  0.0005
Fe  0.5030  0.7556  0.4823
Fe  0.5030  0.7556  0.0177
Fe  0.0008  0.0020  0.9995
Fe  0.0008  0.0020  0.5005
O  0.8392  0.7469  0.4030
O  0.8392  0.7469  0.0970
O  0.1608  0.2469  0.5970
O  0.1608  0.2469  0.9030
O  0.1806  0.7489  0.5882
O  0.1806  0.7489  0.9118
O  0.8195  0.2489  0.4118
O  0.8195  0.2489  0.0882
O  0.6672  0.5010  0.6059
O  0.6647  0.9975  0.8972
O  0.3329  0.0010  0.3941
O  0.3353  0.4976  0.1028
O  0.3353  0.4976  0.3972
O  0.3329  0.0010  0.1059
O  0.6647  0.9975  0.6028
O  0.6672  0.5010  0.8941

Symmetry: Pmn2_1


The most stable of them is A.


A.
The following is a r²SCAN calculation of a geometry-optimized Ca5Mg structure, from Materials Project.

Unit cell a=6.6066 b=6.6066 c=6.2103 alpha=90.00 beta=90.00 gamma=120.00
Sites, in units of the cell vectors:
Ca  0.6781  0.0000  0.5000
Ca  0.3219  0.3219  0.5000
Ca  0.0000  0.6781  0.5000
Ca  0.6667  0.3333  0.0000
Ca  0.3333  0.6667  0.0000
Mg  0.0000  0.0000  0.0000

Symmetry: P-62m


B.
The following is a r²SCAN calculation of a geometry-optimized Ca5Mg structure, from Materials Project.

Unit cell a=6.9946 b=6.9946 c=9.4513 alpha=69.94 beta=69.94 gamma=33.39
Sites, in units of the cell vectors:
Ca  0.9957  0.9957  0.0739
Ca  0.2851  0.2851  0.3661
Ca  0.9691  0.9691  0.5271
Ca  0.6393  0.6393  0.7195
Ca  0.3062  0.3062  0.9210
Mg  0.6379  0.6379  0.2257

Symmetry: Cm


The most stable of them is B.


A.
The following is a r²SCAN calculation of a geometry-optimized Ca3N2 structure, from Materials Project.

Unit cell a=6.1910 b=6.3364 c=8.9404 alpha=90.00 beta=90.00 gamma=90.00
Sites, in units of the cell vectors:
Ca  0.6066  0.1050  0.8472
Ca  0.9558  0.7500  0.0000
Ca  0.4558  0.7500  0.5000
Ca  0.1066  0.1050  0.6528
Ca  0.8934  0.8950  0.3472
Ca  0.5442  0.2500  0.5000
Ca  0.3934  0.6050  0.8472
Ca  0.0442  0.2500  0.0000
Ca  0.3934  0.8950  0.1528
Ca  0.6066  0.3950  0.1528
Ca  0.1066  0.3950  0.3472
Ca  0.8934  0.6050  0.6528
N  0.7529  0.0316  0.1122
N  0.7471  0.5316  0.3878
N  0.2529  0.0316  0.3878
N  0.7471  0.9684  0.6122
N  0.7529  0.4684  0.8878
N  0.2529  0.4684  0.6122
N  0.2471  0.9684  0.8878
N  0.2471  0.5316  0.1122

Symmetry: Pbcn


B.
The following is a r²SCAN calculation of a geometry-optimized Ca3N2 structure, from Materials Project.

Unit cell a=9.9021 b=9.9021 c=9.9021 alpha=109.47 beta=109.47 gamma=109.47
Sites, in units of the cell vectors:
Ca  0.0439  0.2715  0.0070
Ca  0.2724  0.7354  0.2285
Ca  0.7646  0.0370  0.4930
Ca  0.4561  0.4630  0.2276
Ca  0.2276  0.4561  0.4630
Ca  0.2715  0.0070  0.0439
Ca  0.2285  0.2724  0.7354
Ca  0.0370  0.4930  0.7646
Ca  0.4930  0.7646  0.0370
Ca  0.7354  0.2285  0.2724
Ca  0.0070  0.0439  0.2715
Ca  0.4630  0.2276  0.4561
Ca  0.9630  0.5070  0.2354
Ca  0.7715  0.7276  0.2646
Ca  0.7285  0.9930  0.9561
Ca  0.7724  0.5439  0.5370
Ca  0.5439  0.5370  0.7724
Ca  0.2354  0.9630  0.5070
Ca  0.7276  0.2646  0.7715
Ca  0.9561  0.7285  0.9930
Ca  0.5070  0.2354  0.9630
Ca  0.2646  0.7715  0.7276
Ca  0.9930  0.9561  0.7285
Ca  0.5370  0.7724  0.5439
N  0.2500  0.7104  0.4604
N  0.0396  0.7500  0.7896
N  0.7896  0.0396  0.7500
N  0.4604  0.2500  0.7104
N  0.7104  0.4604  0.2500
N  0.7500  0.7896  0.0396
N  0.7500  0.2896  0.5396
N  0.9604  0.2500  0.2104
N  0.2104  0.9604  0.2500
N  0.5396  0.7500  0.2896
N  0.2896  0.5396  0.7500
N  0.2500  0.2104  0.9604
N  0.0000  0.5000  0.0000
N  0.5000  0.0000  0.0000
N  0.0000  0.0000  0.5000
N  0.5000  0.5000  0.5000

Symmetry: Ia-3


The most stable of them is B.


A.
The following is a r²SCAN calculation of a geometry-optimized Ca3N2 structure, from Materials Project.

Unit cell a=3.7840 b=7.7079 c=9.3181 alpha=100.12 beta=90.00 gamma=104.21
Sites, in units of the cell vectors:
Ca  0.1263  0.2525  0.2787
Ca  0.7897  0.5795  0.3788
Ca  0.8277  0.6554  0.0345
Ca  0.2103  0.4205  0.6212
Ca  0.1723  0.3446  0.9655
Ca  0.8737  0.7475  0.7213
Ca  0.4689  0.9379  0.3402
Ca  0.5000  0.0000  0.0000
Ca  0.5311  0.0621  0.6598
N  0.3590  0.7179  0.5122
N  0.0310  0.0620  0.8120
N  0.9690  0.9380  0.1880
N  0.3174  0.6348  0.8693
N  0.6410  0.2821  0.4878
N  0.6826  0.3652  0.1307

Symmetry: C2/m


B.
The following is a r²SCAN calculation of a geometry-optimized Ca3N2 structure, from Materials Project.

Unit cell a=6.5750 b=6.5750 c=6.5750 alpha=56.05 beta=56.05 gamma=56.05
Sites, in units of the cell vectors:
Ca  0.7500  0.4507  0.0493
Ca  0.0493  0.7500  0.4507
Ca  0.4507  0.0493  0.7500
Ca  0.9507  0.2500  0.5493
Ca  0.2500  0.5493  0.9507
Ca  0.5493  0.9507  0.2500
N  0.8537  0.8537  0.8537
N  0.6463  0.6463  0.6463
N  0.1463  0.1463  0.1463
N  0.3537  0.3537  0.3537

Symmetry: R-3c


The most stable of them is B.


A.
The following is a r²SCAN calculation of a geometry-optimized Ca5Sb3 structure, from Materials Project.

Unit cell a=9.0591 b=9.0591 c=7.0051 alpha=90.00 beta=90.00 gamma=120.00
Sites, in units of the cell vectors:
Ca  0.3333  0.6667  0.0000
Ca  0.6667  0.3333  0.5000
Ca  0.6667  0.3333  0.0000
Ca  0.3333  0.6667  0.5000
Ca  0.2519  0.0000  0.2500
Ca  0.2519  0.2519  0.7500
Ca  0.0000  0.7481  0.7500
Ca  0.0000  0.2519  0.2500
Ca  0.7481  0.7481  0.2500
Ca  0.7481  0.0000  0.7500
Sb  0.6112  0.0000  0.2500
Sb  0.6112  0.6112  0.7500
Sb  0.0000  0.3888  0.7500
Sb  0.0000  0.6112  0.2500
Sb  0.3888  0.3888  0.2500
Sb  0.3888  0.0000  0.7500

Symmetry: P6_3/mcm


B.
The following is a r²SCAN calculation of a geometry-optimized Ca5Sb3 structure, from Materials Project.

Unit cell a=8.3005 b=9.5749 c=12.6083 alpha=90.00 beta=90.00 gamma=90.00
Sites, in units of the cell vectors:
Ca  0.3084  0.9579  0.9222
Ca  0.8084  0.0421  0.5778
Ca  0.6916  0.4579  0.0778
Ca  0.1916  0.5421  0.4222
Ca  0.6916  0.0421  0.0778
Ca  0.1916  0.9579  0.4222
Ca  0.3084  0.5421  0.9222
Ca  0.8084  0.4579  0.5778
Ca  0.6815  0.7500  0.7723
Ca  0.1815  0.2500  0.7277
Ca  0.3185  0.2500  0.2277
Ca  0.8185  0.7500  0.2723
Ca  0.1537  0.7500  0.7078
Ca  0.6537  0.2500  0.7922
Ca  0.8463  0.2500  0.2922
Ca  0.3463  0.7500  0.2078
Ca  0.5350  0.7500  0.4949
Ca  0.0350  0.2500  0.0051
Ca  0.4650  0.2500  0.5051
Ca  0.9650  0.7500  0.9949
Sb  0.9382  0.0120  0.8290
Sb  0.4382  0.9880  0.6710
Sb  0.0618  0.5120  0.1710
Sb  0.5618  0.4880  0.3290
Sb  0.0618  0.9880  0.1710
Sb  0.5618  0.0120  0.3290
Sb  0.9382  0.4880  0.8290
Sb  0.4382  0.5120  0.6710
Sb  0.5769  0.7500  0.0156
Sb  0.0769  0.2500  0.4844
Sb  0.4231  0.2500  0.9844
Sb  0.9231  0.7500  0.5156

Symmetry: Pnma


The most stable of them is B.


A.
The following is a r²SCAN calculation of a geometry-optimized SrCa3 structure, from Materials Project.

Unit cell a=5.7168 b=5.7167 c=5.7168 alpha=90.00 beta=90.00 gamma=90.00
Sites, in units of the cell vectors:
Sr  0.0000  0.0000  0.0000
Ca  0.0000  0.5000  0.5000
Ca  0.5000  0.0000  0.5000
Ca  0.5000  0.5000  0.0000

Symmetry: Pm-3m


B.
The following is a r²SCAN calculation of a geometry-optimized SrCa3 structure, from Materials Project.

Unit cell a=8.0878 b=8.0878 c=6.5881 alpha=90.00 beta=90.00 gamma=120.00
Sites, in units of the cell vectors:
Sr  0.3333  0.6667  0.7500
Sr  0.6667  0.3333  0.2500
Ca  0.1644  0.3287  0.2500
Ca  0.6713  0.8356  0.2500
Ca  0.1644  0.8356  0.2500
Ca  0.8356  0.6713  0.7500
Ca  0.3287  0.1644  0.7500
Ca  0.8356  0.1644  0.7500

Symmetry: P6_3/mmc


C.
The following is a r²SCAN calculation of a geometry-optimized SrCa3 structure, from Materials Project.

Unit cell a=6.3892 b=6.3892 c=6.3892 alpha=60.00 beta=60.00 gamma=60.00
Sites, in units of the cell vectors:
Sr  0.0000  0.0000  0.0000
Ca  0.2500  0.2500  0.2500
Ca  0.7500  0.7500  0.7500
Ca  0.5000  0.5000  0.5000

Symmetry: Fm-3m


The most stable of them is B.